Entry 1:
Computed, not measured: CuH12C3S3BrN6 after structural relaxation at the PBE level of DFT.

## Properties
The total magnetic moment is 0.000 μB per atom. Its theoretical density is 1776 kg/m3. The formation energy comes out at -0.40 eV per atom.

abc: 14.0392 14.0392 14.1084
angles: 90.00 90.00 90.00
Space group P4_32_12 (No. 96)
Asymmetric unit:
Cu  0.0279  0.3518  0.3339 x8
H  0.0001  0.3307  0.8992 x8
H  0.0052  0.8699  0.0999 x8
H  0.0056  0.4562  0.9041 x8
H  0.0129  0.2031  0.0654 x8
H  0.0175  0.9507  0.8760 x8
H  0.0379  0.8318  0.8388 x8
H  0.0533  0.2339  0.1807 x8
H  0.0699  0.2298  0.6110 x8
H  0.0826  0.7455  0.2893 x8
H  0.1384  0.7674  0.5218 x8
H  0.1475  0.6817  0.2009 x8
H  0.2108  0.2813  0.8492 x8
C  0.0717  0.6005  0.2940 x8
C  0.0849  0.7321  0.6525 x8
C  0.1011  0.1323  0.3606 x8
S  0.0077  0.6027  0.9931 x8
S  0.1116  0.6822  0.7605 x8
S  0.1491  0.2404  0.3273 x8
Br  0.0168  0.8540  0.4033 x8
N  0.0004  0.2319  0.1312 x8
N  0.0076  0.1158  0.3601 x8
N  0.0184  0.6044  0.3721 x8
N  0.0608  0.1584  0.6132 x8
N  0.1004  0.6828  0.2560 x8
N  0.1529  0.7364  0.5856 x8

---

Entry 2:
Computed, not measured: CuH6C3SBr3N3 after structural relaxation at the PBE level of DFT.

## Properties
The total magnetic moment is 0.059 μB per atom. Its theoretical density is 2607 kg/m3. The formation energy comes out at -0.19 eV per atom.

abc: 6.2306 13.4809 13.7714
angles: 90.00 112.49 90.00
Space group P2_1/c (No. 14)
Asymmetric unit:
Cu  0.2049  0.0643  0.4591 x4
H  0.3889  0.7260  0.7469 x4
H  0.3932  0.0955  0.1760 x4
H  0.4533  0.6557  0.3937 x4
H  0.4610  0.7430  0.1437 x4
H  0.4816  0.1443  0.8014 x4
H  0.4963  0.0265  0.0910 x4
C  0.1665  0.6625  0.6107 x4
C  0.1990  0.1148  0.0117 x4
C  0.4207  0.0970  0.1020 x4
S  0.0144  0.6950  0.4822 x4
Br  0.1533  0.1545  0.3002 x4
Br  0.1796  0.0122  0.6253 x4
Br  0.4227  0.6411  0.9414 x4
N  0.0671  0.5992  0.6512 x4
N  0.1448  0.0720  0.9194 x4
N  0.3956  0.7005  0.6770 x4

---

Entry 3:
Computed, not measured: Dy5C2Br9 after structural relaxation at the PBE level of DFT.

## Properties
Its theoretical density is 5318 kg/m3. The formation energy comes out at -1.90 eV per atom.

abc: 10.1774 16.5968 13.5140
angles: 90.00 121.66 90.00
Space group P2_1/c (No. 14)
Asymmetric unit:
Dy  0.0077  0.0551  0.2623 x4
Dy  0.0131  0.6617  0.7209 x4
Dy  0.1607  0.0398  0.0343 x4
Dy  0.2140  0.6852  0.5558 x4
Dy  0.3573  0.5578  0.8119 x4
C  0.0730  0.5304  0.6690 x4
C  0.1284  0.5879  0.6198 x4
Br  0.0779  0.1988  0.1703 x4
Br  0.0895  0.0681  0.6548 x4
Br  0.0988  0.6939  0.1419 x4
Br  0.2797  0.1724  0.9679 x4
Br  0.2980  0.5680  0.4419 x4
Br  0.3024  0.6823  0.9370 x4
Br  0.3180  0.0572  0.4582 x4
Br  0.4634  0.0632  0.2352 x4
Br  0.4955  0.1781  0.7475 x4

---

Entry 4:
Computed, not measured: Fe3C8Br16N8 after structural relaxation at the PBE level of DFT.

## Properties
The total magnetic moment is 0.286 μB per atom. Its theoretical density is 3023 kg/m3. The formation energy comes out at 0.05 eV per atom.

abc: 8.0883 9.4571 12.2041
angles: 76.91 87.63 89.02
Space group P-1 (No. 2)
Asymmetric unit:
Fe  0.0000  0.0000  0.0000 x1
Fe  0.3704  0.7495  0.7128 x2
C  0.0505  0.6654  0.3566 x2
C  0.1164  0.0286  0.2329 x2
C  0.1532  0.6886  0.0456 x2
C  0.3212  0.1352  0.8734 x2
Br  0.1267  0.6202  0.7665 x2
Br  0.1399  0.3484  0.5615 x2
Br  0.1855  0.0279  0.3706 x2
Br  0.2527  0.5143  0.0781 x2
Br  0.3063  0.9882  0.6187 x2
Br  0.4719  0.3705  0.4034 x2
Br  0.4779  0.2270  0.1301 x2
Br  0.4975  0.7817  0.2023 x2
N  0.0749  0.0216  0.1437 x2
N  0.0951  0.8050  0.0272 x2
N  0.1769  0.6773  0.3048 x2
N  0.2034  0.0823  0.9239 x2